1.
This record from Materials Project describes a relaxed Ca4Ti4Si3GeO20 crystal. The functional is PBE-GGA.

Calculated values
- Formation energy: -3.3685 eV/atom
- Crystal system: triclinic
- Spin magnetization: 0.00 μB per cell

a b c (Å): 6.6892 7.1837 8.8149
angles (deg): 90.02 90.01 114.18
With the nearest neighbours (Å) after each atom.
Fractional positions:
Ca1 0.0000 0.0000 0.0000  5 O 2.27-2.51
Ca2 0.9996 0.4993 0.3408  5 O 2.30-2.46
Ca3 0.4953 0.0118 0.4963  6 O 2.30-2.55
Ca4 0.4952 0.5132 0.8452  5 O 2.28-2.50
Ti1 0.9996 0.7456 0.6686  4 O 1.81-2.00
Ti2 0.4976 0.7697 0.1694  4 O 1.81-2.01
Ti3 0.4995 0.2661 0.1650  5 O 1.82-2.03
Ti4 0.9946 0.2422 0.6750  4 O 1.80-2.01
Si1 0.4983 0.0092 0.8491  4 O 1.64-1.66
Si2 0.9974 0.0052 0.3516  4 O 1.65-1.66
Si3 0.9971 0.5052 0.9892  4 O 1.65
Ge1 0.4993 0.5100 0.4893  4 O 1.77
O1 0.0941 0.8708 0.4578  1 Si 1.66
O2 0.0947 0.3705 0.8846  1 Si 1.65
O3 0.1844 0.6623 0.1049  1 Si 1.65
O4 0.1853 0.1620 0.2357  1 Si 1.65
O5 0.3081 0.3389 0.6172  1 Ge 1.77
O6 0.3115 0.8520 0.7339  1 Si 1.65
O7 0.3911 0.6539 0.3801  1 Ge 1.77
O8 0.4003 0.1431 0.9561  1 Si 1.66
O9 0.5005 0.5085 0.1041  2 Ti 1.82-1.97
O10 0.5007 0.0089 0.2359  2 Ti 1.81-1.95
O11 0.5957 0.8747 0.9557  1 Si 1.66
O12 0.6053 0.3644 0.3797  1 Ge 1.77
O13 0.6825 0.1650 0.7324  1 Si 1.64
O14 0.6883 0.6800 0.6184  1 Ge 1.77
O15 0.8104 0.8497 0.2346  1 Si 1.65
O16 0.8114 0.3491 0.1058  1 Si 1.65
O17 0.9001 0.6403 0.8846  1 Si 1.65
O18 0.9012 0.1405 0.4578  1 Si 1.66
O19 0.9950 0.0064 0.7427  2 Ti 1.80-2.00
O20 0.9947 0.5064 0.6014  2 Ti 1.81-2.01


2.
This record from Materials Project describes a relaxed Ca8Zn4Si3Ge5O28 crystal. The functional is PBE-GGA.

Calculated values
- Formation energy: -2.7996 eV/atom
- Crystal system: triclinic
- Spin magnetization: 0.00 μB per cell

a b c (Å): 8.0242 9.2078 9.4983
angles (deg): 66.23 89.90 89.95
With the nearest neighbours (Å) after each atom.
Fractional positions:
Ca1 0.0000 0.0000 0.0000  5 O 2.29-2.47
Ca2 0.0664 0.5020 0.4981  5 O 2.31-2.48
Ca3 0.2166 0.2473 0.2695  5 O 2.41-2.48
Ca4 0.3523 0.6723 0.6713  5 O 2.41-2.47
Ca5 0.4997 0.4186 0.4398  5 O 2.30-2.47
Ca6 0.5662 0.9181 0.9399  5 O 2.30-2.48
Ca7 0.7153 0.1705 0.1728  5 O 2.42-2.49
Ca8 0.8502 0.7507 0.7660  5 O 2.40-2.46
Zn1 0.1890 0.6293 0.0859  4 O 1.91-2.01
Zn2 0.3818 0.2902 0.8555  4 O 1.92-2.01
Zn3 0.6874 0.7914 0.3556  4 O 1.92-2.02
Zn4 0.8793 0.1283 0.5835  4 O 1.92-2.01
Si1 0.0129 0.9297 0.3913  4 O 1.62-1.69
Si2 0.5132 0.4903 0.0477  4 O 1.62-1.70
Si3 0.5536 0.9902 0.5479  4 O 1.62-1.69
Ge1 0.0538 0.4278 0.8944  4 O 1.74-1.82
Ge2 0.2407 0.0895 0.6770  4 O 1.77-1.82
Ge3 0.3260 0.8307 0.2624  4 O 1.76-1.82
Ge4 0.7383 0.3297 0.7608  4 O 1.76-1.82
Ge5 0.8256 0.5897 0.1770  4 O 1.76-1.83
O1 0.0111 0.7644 0.5426  1 Si 1.62
O2 0.0219 0.5040 0.2474  1 Ge 1.77
O3 0.0443 0.0049 0.7478  1 Ge 1.77
O4 0.0545 0.2486 0.0556  1 Ge 1.74
O5 0.1023 0.6117 0.9024  1 Ge 1.77, 1 Zn 1.94
O6 0.1896 0.4291 0.7457  1 Ge 1.78
O7 0.2067 0.9699 0.3145  1 Si 1.69, 1 Ge 1.82
O8 0.2183 0.8286 0.1014  1 Ge 1.76, 1 Zn 1.91
O9 0.2397 0.2727 0.5148  1 Ge 1.77
O10 0.3271 0.6471 0.4236  1 Ge 1.77
O11 0.3485 0.0915 0.8382  1 Ge 1.77, 1 Zn 1.92
O12 0.3601 0.9499 0.6251  1 Si 1.69, 1 Ge 1.82
O13 0.3853 0.4914 0.1849  1 Si 1.66
O14 0.4669 0.3222 0.0327  1 Si 1.65
O15 0.5113 0.6556 0.8967  1 Si 1.62
O16 0.5223 0.9156 0.1913  1 Ge 1.77
O17 0.5428 0.4151 0.6899  1 Ge 1.76
O18 0.5554 0.1556 0.3965  1 Si 1.62
O19 0.5990 0.8222 0.5327  1 Si 1.65
O20 0.6813 0.9920 0.6846  1 Si 1.66
O21 0.7069 0.4495 0.1251  1 Si 1.70, 1 Ge 1.83
O22 0.7180 0.5920 0.3383  1 Ge 1.76, 1 Zn 1.92
O23 0.7399 0.1470 0.9240  1 Ge 1.77
O24 0.8264 0.7730 0.0153  1 Ge 1.77
O25 0.8475 0.4755 0.8098  2 Ge 1.82
O26 0.8490 0.3274 0.6009  1 Ge 1.77, 1 Zn 1.92
O27 0.8849 0.9277 0.2549  1 Si 1.66
O28 0.9675 0.0976 0.4067  1 Si 1.65


3.
This record from Materials Project describes a relaxed SrCaTbGeO6 crystal. The functional is PBE-GGA.

Calculated values
- Formation energy: -2.8639 eV/atom
- Crystal system: cubic
- Spin magnetization: 1.00 μB per cell

a b c (Å): 5.7978 5.7978 5.7978
angles (deg): 60.00 60.00 60.00
With the nearest neighbours (Å) after each atom.
Fractional positions:
Sr1 0.0000 0.0000 0.0000  12 O 2.90
Ca1 0.5000 0.5000 0.5000  12 O 2.90
Tb1 0.2500 0.2500 0.2500  6 O 2.21
Ge1 0.7500 0.7500 0.7500  6 O 1.89
O1 0.5191 0.5191 0.9809  1 Ge 1.89
O2 0.5191 0.9809 0.5191  1 Ge 1.89
O3 0.5191 0.9809 0.9809  1 Ge 1.89
O4 0.9809 0.5191 0.5191  1 Ge 1.89
O5 0.9809 0.5191 0.9809  1 Ge 1.89
O6 0.9809 0.9809 0.5191  1 Ge 1.89


4.
This record from Materials Project describes a relaxed SrCaTi2Ge2O10 crystal. The functional is PBE-GGA.

Calculated values
- Formation energy: -3.0466 eV/atom
- Crystal system: monoclinic
- Spin magnetization: 0.00 μB per cell

a b c (Å): 6.8213 9.0653 7.3037
angles (deg): 90.00 114.04 90.00
With the nearest neighbours (Å) after each atom.
Fractional positions:
Sr1 0.2493 0.0000 0.0072  7 O 2.46-2.71
Sr2 0.7507 0.5000 0.9928  7 O 2.46-2.71
Ca1 0.2500 0.3468 0.5049  7 O 2.33-2.59
Ca2 0.7500 0.8468 0.4951  7 O 2.33-2.59
Ti1 0.2443 0.6745 0.7596  2 O 1.80-2.00
Ti2 0.2535 0.6689 0.2667  3 O 1.80-2.01
Ti3 0.7465 0.1689 0.7333  3 O 1.80-2.01
Ti4 0.7557 0.1745 0.2404  2 O 1.80-2.00
Ge1 0.2519 0.3575 0.0041  4 O 1.77-1.78
Ge2 0.2523 0.9886 0.5049  4 O 1.78
Ge3 0.7477 0.4886 0.4951  4 O 1.78
Ge4 0.7481 0.8575 0.9959  4 O 1.77-1.78
O1 0.0514 0.2379 0.8371  1 Ge 1.78
O2 0.0645 0.1148 0.3372  1 Ge 1.78
O3 0.1402 0.8788 0.6397  1 Ge 1.78
O4 0.1566 0.4629 0.1551  1 Ge 1.77
O5 0.2534 0.6041 0.5001  1 Ti 1.80
O6 0.2526 0.7287 0.9991  1 Ti 1.80
O7 0.3425 0.4632 0.8482  1 Ge 1.78
O8 0.3600 0.8777 0.3662  1 Ge 1.78
O9 0.4398 0.1152 0.6716  1 Ge 1.78
O10 0.4502 0.2379 0.1718  1 Ge 1.78
O11 0.5498 0.7379 0.8282  1 Ge 1.78
O12 0.5602 0.6152 0.3284  1 Ge 1.78
O13 0.6400 0.3777 0.6338  1 Ge 1.78
O14 0.6575 0.9632 0.1518  1 Ge 1.78
O15 0.7466 0.1041 0.4999  1 Ti 1.80
O16 0.7474 0.2287 0.0009  1 Ti 1.80
O17 0.8434 0.9629 0.8449  1 Ge 1.77
O18 0.8598 0.3788 0.3603  1 Ge 1.78
O19 0.9355 0.6148 0.6628  1 Ge 1.78
O20 0.9486 0.7379 0.1629  1 Ge 1.78


5.
This record from Materials Project describes a relaxed CaTiGe2O6 crystal. The functional is PBE-GGA.

Calculated values
- Energy above the lowest structure with this stoichiometry: 0 meV per atom
- Formation energy: -2.7188 eV/atom
- Crystal system: monoclinic
- Spin magnetization: 0.00 μB per cell

a b c (Å): 12.1876 8.6948 5.4173
angles (deg): 90.00 102.74 90.00
With the nearest neighbours (Å) after each atom.
Fractional positions:
Ca1 0.2376 0.0824 0.0209  5 O 2.33-2.51
Ca2 0.2376 0.4176 0.5209  5 O 2.33-2.51
Ca3 0.7624 0.5824 0.4791  5 O 2.33-2.51
Ca4 0.7624 0.9176 0.9791  5 O 2.33-2.51
Ti1 0.2201 0.6643 0.0188  3 O 1.81-1.90
Ti2 0.2201 0.8357 0.5188  3 O 1.81-1.90
Ti3 0.7799 0.1643 0.4812  3 O 1.81-1.90
Ti4 0.7799 0.3357 0.9812  3 O 1.81-1.90
Ge1 0.0221 0.1475 0.3752  4 O 1.77-1.88
Ge2 0.0221 0.3525 0.8752  4 O 1.77-1.88
Ge3 0.4300 0.1326 0.6673  3 O 1.91-1.98
Ge4 0.4300 0.3674 0.1673  3 O 1.91-1.98
Ge5 0.5700 0.6326 0.8327  3 O 1.91-1.98
Ge6 0.5700 0.8674 0.3327  3 O 1.91-1.98
Ge7 0.9779 0.6475 0.1248  4 O 1.77-1.88
Ge8 0.9779 0.8525 0.6248  4 O 1.77-1.88
O1 0.0760 0.5401 0.8592  1 Ge 1.77
O2 0.0760 0.9599 0.3592  1 Ge 1.77
O3 0.0972 0.2472 0.1514  2 Ge 1.82-1.88
O4 0.0972 0.2528 0.6514  2 Ge 1.82-1.88
O5 0.1188 0.6590 0.2998  1 Ge 1.77
O6 0.1188 0.8410 0.7998  1 Ge 1.77
O7 0.2794 0.6648 0.7252  2 Ti 1.89-1.90
O8 0.2794 0.8352 0.2252  2 Ti 1.89-1.90
O9 0.3050 0.5071 0.1765  1 Ti 1.81, 1 Ge 1.96
O10 0.3050 0.9929 0.6765  1 Ti 1.81, 1 Ge 1.96
O11 0.3539 0.2218 0.3546  2 Ge 1.91-1.98
O12 0.3539 0.2782 0.8546  2 Ge 1.91-1.98
O13 0.6461 0.7218 0.1454  2 Ge 1.91-1.98
O14 0.6461 0.7782 0.6454  2 Ge 1.91-1.98
O15 0.6950 0.0071 0.3235  1 Ti 1.81, 1 Ge 1.96
O16 0.6950 0.4929 0.8235  1 Ti 1.81, 1 Ge 1.96
O17 0.7206 0.1648 0.7748  2 Ti 1.89-1.90
O18 0.7206 0.3352 0.2748  2 Ti 1.89-1.90
O19 0.8812 0.1590 0.2002  1 Ge 1.77
O20 0.8812 0.3410 0.7002  1 Ge 1.77
O21 0.9028 0.7472 0.3486  2 Ge 1.82-1.88
O22 0.9028 0.7528 0.8486  2 Ge 1.82-1.88
O23 0.9240 0.0401 0.6408  1 Ge 1.77
O24 0.9240 0.4599 0.1408  1 Ge 1.77


6.
This record from Materials Project describes a relaxed CaTiGe2O6 crystal. The functional is PBE-GGA.

Calculated values
- Energy above the lowest structure with this stoichiometry: 73 meV per atom
- Formation energy: -2.6455 eV/atom
- Crystal system: monoclinic
- Spin magnetization: 0.00 μB per cell

a b c (Å): 7.0453 7.0453 5.3279
angles (deg): 100.75 100.75 77.06
With the nearest neighbours (Å) after each atom.
Fractional positions:
Ca1 0.1629 0.8371 0.7500  4 O 2.32-2.47
Ca2 0.8371 0.1629 0.2500  4 O 2.32-2.47
Ti1 0.4015 0.5985 0.2500  4 O 1.84-2.00
Ti2 0.5985 0.4015 0.7500  4 O 1.84-2.00
Ge1 0.0959 0.3495 0.8566  4 O 1.86-1.93
Ge2 0.3495 0.0959 0.3566  4 O 1.86-1.93
Ge3 0.6505 0.9041 0.6434  4 O 1.86-1.93
Ge4 0.9041 0.6505 0.1434  4 O 1.86-1.93
O1 0.1392 0.1661 0.0804  2 Ge 1.86-1.93
O2 0.1592 0.6333 0.3528  1 Ti 1.84, 1 Ge 1.92
O3 0.1661 0.1392 0.5804  2 Ge 1.86-1.93
O4 0.3101 0.4798 0.8877  1 Ge 1.90, 1 Ti 2.00
O5 0.3667 0.8408 0.1472  1 Ti 1.84, 1 Ge 1.92
O6 0.4798 0.3101 0.3877  1 Ge 1.90, 1 Ti 2.00
O7 0.5202 0.6899 0.6123  1 Ge 1.90, 1 Ti 2.00
O8 0.6333 0.1592 0.8528  1 Ti 1.84, 1 Ge 1.92
O9 0.6899 0.5202 0.1123  1 Ge 1.90, 1 Ti 2.00
O10 0.8339 0.8608 0.4196  2 Ge 1.86-1.93
O11 0.8408 0.3667 0.6472  1 Ti 1.84, 1 Ge 1.92
O12 0.8608 0.8339 0.9196  2 Ge 1.86-1.93